Fe4OF7 | PBE+U | optimized geometry

```
data_Fe4OF7
_symmetry_space_group_name_H-M 'P 1'
_symmetry_Int_Tables_number 1
_symmetry_space_group_name_Hall 'P 1'
_cell_length_a 7.982
_cell_length_b 7.982
_cell_length_c 6.684
_cell_angle_alpha 65.28
_cell_angle_beta 65.28
_cell_angle_gamma 51.02
loop_
_atom_site_label
_atom_site_type_symbol
_atom_site_fract_x
_atom_site_fract_y
_atom_site_fract_z
Fe1 Fe 0.122 0.122 0.849
Fe2 Fe 0.628 0.628 0.370
Fe3 Fe 0.372 0.372 0.630
Fe4 Fe 0.000 0.000 0.500
Fe5 Fe 0.500 0.500 0.000
Fe6 Fe 0.760 0.760 0.732
Fe7 Fe 0.240 0.240 0.268
Fe8 Fe 0.878 0.878 0.151
O1 O 0.117 0.117 0.556
O2 O 0.883 0.883 0.444
F1 F 0.120 0.120 0.167
F2 F 0.633 0.633 0.061
F3 F 0.695 0.305 0.500
F4 F 0.305 0.695 0.500
F5 F 0.048 0.451 0.754
F6 F 0.795 0.205 0.000
F7 F 0.367 0.367 0.939
F8 F 0.632 0.632 0.669
F9 F 0.880 0.880 0.833
F10 F 0.368 0.368 0.331
F11 F 0.451 0.048 0.754
F12 F 0.205 0.795 0.000
F13 F 0.952 0.549 0.246
F14 F 0.549 0.952 0.246
```

## Properties
For the energy, the calculation gives -5.677 eV/atom. As for the energy above the lowest structure with this stoichiometry: 0.18 eV/f.u. Its energy of formation is -2.4032 eV/atom.

***

Fe5O8F2 | PBE+U | optimized geometry

```
data_Fe5O8F2
_symmetry_space_group_name_H-M 'P 1'
_symmetry_Int_Tables_number 1
_symmetry_space_group_name_Hall 'P 1'
_cell_length_a 4.660
_cell_length_b 5.549
_cell_length_c 12.936
_cell_angle_alpha 78.23
_cell_angle_beta 90.00
_cell_angle_gamma 90.00
loop_
_atom_site_label
_atom_site_type_symbol
_atom_site_fract_x
_atom_site_fract_y
_atom_site_fract_z
Fe1 Fe 0.002 0.160 0.402
Fe2 Fe 0.973 0.755 0.994
Fe3 Fe 0.977 0.965 0.196
Fe4 Fe 0.014 0.562 0.796
Fe5 Fe 0.028 0.358 0.598
Fe6 Fe 0.473 0.245 0.006
Fe7 Fe 0.502 0.840 0.598
Fe8 Fe 0.514 0.438 0.204
Fe9 Fe 0.477 0.035 0.804
Fe10 Fe 0.528 0.642 0.402
O1 O 0.297 0.199 0.145
O2 O 0.319 0.598 0.531
O3 O 0.310 0.795 0.733
O4 O 0.319 0.398 0.341
O5 O 0.292 0.995 0.942
O6 O 0.183 0.497 0.936
O7 O 0.197 0.295 0.738
O8 O 0.199 0.094 0.542
O9 O 0.792 0.005 0.058
O10 O 0.819 0.602 0.659
O11 O 0.810 0.205 0.267
O12 O 0.819 0.402 0.469
O13 O 0.797 0.801 0.855
O14 O 0.697 0.705 0.262
O15 O 0.699 0.906 0.458
O16 O 0.683 0.503 0.064
F1 F 0.199 0.892 0.338
F2 F 0.190 0.695 0.140
F3 F 0.690 0.305 0.860
F4 F 0.699 0.108 0.662
```

## Properties
For the energy, the calculation gives -6.108 eV/atom. As for the energy above the lowest structure with this stoichiometry: 0.20 eV/f.u. Its energy of formation is -1.5700 eV/atom.